No. 1
This record from the Materials Project database describes crystalline Li4V3P8O29 at its relaxed geometry. The functional is PBE+U.

a b c (Å): 9.7863 9.7998 14.2436
angles (deg): 89.91 89.78 60.08
With the nearest neighbours (Å) after each atom.
Fractional coordinates of all 88 atoms:
Li (0.0000, 0.0000, 0.0000)  3 O 1.93-2.14
Li (0.0019, 0.5536, 0.5052)  3 O 1.91-2.06
Li (0.1480, 0.2033, 0.9417)  2 O 1.96-2.01
Li (0.3242, 0.3189, 0.3827)  3 O 1.98-2.10
Li (0.4127, 0.9992, 0.5040)  3 O 1.92-2.04
Li (0.4336, 0.5563, 0.0476)  1 O 1.87
Li (0.8661, 0.5628, 0.9989)  3 O 1.93-2.14
Li (0.8721, 0.1473, 0.5041)  3 O 1.88-2.04
V (0.0926, 0.8046, 0.1959)  6 O 1.83-2.05
V (0.0975, 0.6638, 0.6935)  6 O 1.87-2.02
V (0.5285, 0.2259, 0.1883)  6 O 1.87-2.02
V (0.5305, 0.7940, 0.6964)  6 O 1.85-1.98
V (0.6606, 0.2323, 0.6989)  6 O 1.84-2.00
V (0.6668, 0.6626, 0.1949)  6 O 1.82-2.03
P (0.0104, 0.5478, 0.2850)  4 O 1.49-1.59
P (0.0111, 0.0021, 0.7869)  4 O 1.49-1.61
P (0.1835, 0.4555, 0.1031)  4 O 1.48-1.63
P (0.1831, 0.9162, 0.6057)  4 O 1.48-1.63
P (0.3195, 0.9210, 0.1024)  4 O 1.47-1.62
P (0.3285, 0.3182, 0.6001)  4 O 1.51-1.61
P (0.4008, 0.1466, 0.7820)  4 O 1.47-1.62
P (0.4125, 0.9982, 0.2855)  4 O 1.48-1.61
P (0.4270, 0.5630, 0.3105)  4 O 1.48-1.60
P (0.4292, 0.5631, 0.8118)  4 O 1.49-1.59
P (0.7594, 0.9001, 0.5746)  4 O 1.49-1.59
P (0.7664, 0.8926, 0.0729)  4 O 1.49-1.60
P (0.7818, 0.4572, 0.6050)  4 O 1.48-1.62
P (0.7859, 0.3188, 0.1048)  4 O 1.48-1.63
P (0.8593, 0.1492, 0.2865)  4 O 1.47-1.61
P (0.8694, 0.5438, 0.7853)  4 O 1.48-1.60
O (0.9997, 0.7084, 0.2633)  1 P 1.55
O (0.0072, 0.8500, 0.7733)  1 P 1.52
O (0.0070, 0.9801, 0.2717)  1 P 1.58
O (0.0085, 0.5731, 0.7700)  1 P 1.54
O (0.0746, 0.0208, 0.8779)  1 P 1.49
O (0.0895, 0.0060, 0.5235)  1 P 1.48
O (0.0904, 0.4795, 0.3762)  1 P 1.49
O (0.0916, 0.4433, 0.0241)  1 P 1.48
O (0.1100, 0.4329, 0.2014)  2 P 1.59-1.63
O (0.1110, 0.0172, 0.7017)  2 P 1.61-1.63
O (0.1789, 0.8852, 0.1045)  1 P 1.58
O (0.1816, 0.4834, 0.6008)  1 P 1.54
O (0.1900, 0.7565, 0.6210)  1 P 1.55
O (0.1921, 0.6090, 0.1113)  1 P 1.55
O (0.2766, 0.7086, 0.2629)  1 P 1.60
O (0.2865, 0.5598, 0.7713)  1 P 1.53
O (0.2980, 0.0121, 0.2011)  2 P 1.61-1.62
O (0.3005, 0.0232, 0.0218)  1 P 1.47
O (0.3022, 0.2256, 0.8649)  1 P 1.47
O (0.3058, 0.2238, 0.6857)  2 P 1.61-1.62
O (0.3444, 0.2305, 0.5103)  1 P 1.51
O (0.3534, 0.9820, 0.3780)  1 P 1.48
O (0.3547, 0.8882, 0.6050)  1 P 1.56
O (0.3561, 0.3171, 0.1062)  1 P 1.55
O (0.4240, 0.5760, 0.4138)  1 P 1.48
O (0.4269, 0.4138, 0.2738)  1 P 1.56
O (0.4289, 0.1469, 0.2780)  1 P 1.55
O (0.4309, 0.7120, 0.7687)  1 P 1.59
O (0.4380, 0.5635, 0.9164)  1 P 1.49
O (0.4424, 0.9715, 0.7733)  1 P 1.56
O (0.4747, 0.7588, 0.1105)  1 P 1.56
O (0.4779, 0.3277, 0.6225)  1 P 1.55
O (0.5576, 0.1517, 0.7732)  1 P 1.56
O (0.5704, 0.5711, 0.2615)  1 P 1.60
O (0.5745, 0.8487, 0.2590)  1 P 1.58
O (0.5814, 0.4161, 0.7688)  1 P 1.59
O (0.6105, 0.8959, 0.6160)  1 P 1.59
O (0.6190, 0.0355, 0.1138)  1 P 1.54
O (0.6210, 0.3343, 0.1113)  1 P 1.55
O (0.6223, 0.6113, 0.6217)  1 P 1.56
O (0.7111, 0.1388, 0.2614)  1 P 1.55
O (0.7135, 0.7034, 0.7678)  1 P 1.57
O (0.7490, 0.9136, 0.4703)  1 P 1.49
O (0.7538, 0.3145, 0.6044)  1 P 1.55
O (0.7554, 0.0492, 0.6209)  1 P 1.59
O (0.7572, 0.4915, 0.1034)  1 P 1.57
O (0.7709, 0.7392, 0.1155)  1 P 1.60
O (0.7829, 0.8777, 0.9692)  1 P 1.49
O (0.8396, 0.1445, 0.7712)  1 P 1.57
O (0.8422, 0.5696, 0.2768)  1 P 1.56
O (0.8553, 0.2160, 0.3793)  1 P 1.47
O (0.8706, 0.4631, 0.5221)  1 P 1.48
O (0.8729, 0.4720, 0.8776)  1 P 1.48
O (0.8763, 0.2520, 0.2042)  2 P 1.61-1.63
O (0.8818, 0.4302, 0.7008)  2 P 1.60-1.62
O (0.8910, 0.2222, 0.0273)  1 P 1.48
O (0.9103, 0.7497, 0.6093)  1 P 1.56
O (0.9150, 0.8964, 0.1159)  1 P 1.60

energy of formation from the pure elements	-2.573	eV/atom
total DFT energy (no corrections)	-7.04	eV/atom
space-group type	No. 1
total moment	1.0	μB per formula unit

---

No. 2
This record from the Materials Project database describes crystalline MgFe3P3O12 at its relaxed geometry. The functional is PBE+U.

a b c (Å): 5.2176 5.2203 11.2449
angles (deg): 84.65 84.49 61.97
With the nearest neighbours (Å) after each atom.
Fractional coordinates of all 19 atoms:
Mg (0.0000, 0.0000, 0.0000)  4 O 2.05-2.08
Fe (0.0546, 0.4920, 0.7937)  4 O 1.94-2.11
Fe (0.3729, 0.6196, 0.5023)  4 O 1.88-1.91
Fe (0.5044, 0.9444, 0.2093)  4 O 1.94-2.11
P (0.4948, 0.5025, 0.0019)  4 O 1.55-1.56
P (0.4995, 0.0239, 0.6717)  4 O 1.53-1.58
P (0.9692, 0.4937, 0.3332)  4 O 1.53-1.58
O (0.0625, 0.6132, 0.4328)  1 P 1.55
O (0.1764, 0.1715, 0.3167)  1 P 1.53
O (0.2056, 0.5850, 0.9423)  1 P 1.56
O (0.3105, 0.0589, 0.7902)  1 P 1.55
O (0.3819, 0.9289, 0.5722)  1 P 1.55
O (0.4103, 0.7924, 0.0616)  1 P 1.56
O (0.4601, 0.3386, 0.6343)  1 P 1.58
O (0.5986, 0.2303, 0.0904)  1 P 1.55
O (0.6558, 0.5295, 0.3710)  1 P 1.58
O (0.7667, 0.4009, 0.9128)  1 P 1.55
O (0.8221, 0.8196, 0.6880)  1 P 1.53
O (0.9347, 0.6816, 0.2149)  1 P 1.55

energy of formation from the pure elements	-2.383	eV/atom
total DFT energy (no corrections)	-6.99	eV/atom
space-group type	No. 1
total moment	13.0	μB per formula unit